No. 1
First-principles (GGA+U) data for a geometry-optimized Li2CoGeO4 structure, as listed in Materials Project.

## Properties
Theoretical density: 3.86 g/cm3
Calculated volume: 360.0 Å³ per cell
Magnetic moment: 0.00 μB per cell
Offset from the most stable computed form: 0.02 eV/f.u.
Calculated formation energy: -16.7 eV/f.u.

```
Li2CoGeO4
1.0
0.035 -3.270 6.801
1.740 6.877 2.575
-5.285 3.117 5.351
O Li Co Ge
16 8 4 4
Direct
0.470 0.147 0.770 O
0.509 0.341 0.000 O
0.263 0.127 0.500 O
0.240 0.917 0.230 O
0.740 0.417 0.230 O
0.841 0.009 0.500 O
0.763 0.627 0.500 O
0.009 0.841 0.000 O
0.647 0.970 0.270 O
0.341 0.509 0.500 O
0.147 0.470 0.270 O
0.417 0.740 0.730 O
0.627 0.763 0.000 O
0.127 0.263 0.000 O
0.917 0.240 0.730 O
0.970 0.647 0.770 O
0.039 0.705 0.251 Li
0.790 0.456 0.749 Li
0.705 0.039 0.751 Li
0.205 0.539 0.751 Li
0.290 0.956 0.749 Li
0.539 0.205 0.251 Li
0.956 0.290 0.249 Li
0.456 0.790 0.249 Li
0.081 0.915 0.500 Co
0.915 0.081 0.000 Co
0.581 0.415 0.500 Co
0.415 0.581 0.000 Co
0.666 0.835 0.500 Ge
0.166 0.335 0.500 Ge
0.835 0.666 0.000 Ge
0.335 0.166 0.000 Ge
```

---

No. 2
First-principles (GGA+U) data for a geometry-optimized PrEuHfCrO6 structure, as listed in Materials Project.

## Properties
Theoretical density: 8.00 g/cm3
Calculated volume: 128.5 Å³ per cell
Magnetic moment: 10.00 μB per cell
Symmetry: F-43m
Calculated formation energy: -33.3 eV/f.u.

```
PrEuHfCrO6
1.0
0.000 -4.005 -4.005
4.005 0.000 -4.005
4.005 -4.005 0.000
O Pr Eu Cr Hf
6 1 1 1 1
Direct
0.247 0.753 0.753 O
0.753 0.753 0.247 O
0.753 0.247 0.753 O
0.247 0.247 0.753 O
0.247 0.753 0.247 O
0.753 0.247 0.247 O
0.750 0.750 0.750 Pr
0.250 0.250 0.250 Eu
0.000 0.000 0.000 Cr
0.500 0.500 0.500 Hf
```

---

No. 3
First-principles (GGA+U) data for a geometry-optimized MgFe6O6F6 structure, as listed in Materials Project.

## Properties
Theoretical density: 4.03 g/cm3
Calculated volume: 234.3 Å³ per cell
Magnetic moment: 28.00 μB per cell
Offset from the most stable computed form: 1.79 eV/f.u.
Symmetry: P1
Calculated formation energy: -38.9 eV/f.u.

```
MgFe6O6F6
1.0
1.286 1.297 -4.701
-0.867 -7.498 -2.589
-5.576 1.995 -0.506
O Fe F Mg
6 6 6 1
Direct
0.722 0.426 0.095 O
0.290 0.879 0.230 O
0.270 0.245 0.558 O
0.761 0.455 0.589 O
0.228 0.879 0.731 O
0.785 0.778 0.940 O
0.968 0.336 0.322 Fe
0.000 0.662 0.671 Fe
0.363 0.013 0.523 Fe
0.575 0.337 0.787 Fe
0.553 0.670 0.160 Fe
0.031 0.961 0.021 Fe
0.224 0.553 0.392 F
0.689 0.098 0.749 F
0.710 0.793 0.477 F
0.315 0.550 0.859 F
0.169 0.204 0.059 F
0.812 0.104 0.273 F
0.509 0.690 0.682 Mg
```

---

No. 4
First-principles (GGA+U) data for a geometry-optimized Li2VOF4 structure, as listed in Materials Project.

## Properties
Theoretical density: 2.71 g/cm3
Calculated volume: 192.4 Å³ per cell
Magnetic moment: 2.00 μB per cell
Offset from the most stable computed form: 0.00 eV/f.u.
Symmetry: Cmcm
Calculated formation energy: -24.3 eV/f.u.

```
Li2VOF4
1.0
1.088 2.612 2.271
4.364 -2.800 -1.768
0.952 6.472 -7.900
F O V Li
8 2 2 4
Direct
0.315 0.630 0.398 F
0.943 0.887 0.883 F
0.057 0.113 0.116 F
0.943 0.887 0.617 F
0.315 0.630 0.102 F
0.685 0.370 0.898 F
0.685 0.370 0.602 F
0.057 0.113 0.384 F
0.293 0.586 0.750 O
0.707 0.414 0.250 O
0.813 0.625 0.750 V
0.187 0.375 0.250 V
0.124 0.249 0.937 Li
0.876 0.751 0.063 Li
0.124 0.249 0.563 Li
0.876 0.751 0.437 Li
```